Record 1
Computed, not measured: crystalline FeMo2O10 at its relaxed geometry at the PBE with a Hubbard U level of DFT.

Properties
Space group: No. 2
E_form, kcal/mol of atoms: -23.65
Total magnetic moment, μB per formula unit: 8.00

Geometry as POSCAR:
```
FeMo2O10
1.0
6.4610 0.0000 0.0000
2.1719 7.7631 0.0000
0.0664 3.3913 8.7571
Fe Mo O
2 4 20
Direct
0.0986 0.2927 0.3684 Fe
0.9014 0.7073 0.6316 Fe
0.0939 0.8088 0.9320 Mo
0.2217 0.2160 0.7604 Mo
0.7783 0.7840 0.2396 Mo
0.9061 0.1912 0.0680 Mo
0.0481 0.4635 0.6926 O
0.0591 0.1624 0.2515 O
0.0774 0.8571 0.1271 O
0.1512 0.1854 0.5768 O
0.1934 0.1912 0.9747 O
0.2388 0.5801 0.9988 O
0.2983 0.9301 0.8515 O
0.3627 0.8318 0.5324 O
0.4772 0.2400 0.7427 O
0.4930 0.2353 0.3613 O
0.5070 0.7647 0.6387 O
0.5228 0.7600 0.2573 O
0.6373 0.1682 0.4676 O
0.7017 0.0699 0.1485 O
0.7612 0.4199 0.0012 O
0.8066 0.8088 0.0253 O
0.8488 0.8146 0.4232 O
0.9226 0.1429 0.8729 O
0.9409 0.8376 0.7485 O
0.9519 0.5365 0.3074 O
```


Record 2
Computed, not measured: crystalline Fe2Mo3O12 at its relaxed geometry at the PBE with a Hubbard U level of DFT.

Properties
Space group: No. 18
E_form, kcal/mol of atoms: -28.13
Total magnetic moment, μB per formula unit: 10.00

Geometry as POSCAR:
```
Fe2Mo3O12
1.0
8.9600 0.0000 0.0000
0.0000 10.4288 0.0000
0.0000 0.0000 10.6184
Fe Mo O
8 12 48
Direct
0.0621 0.1508 0.1412 Fe
0.0901 0.6974 0.7029 Fe
0.4099 0.1974 0.2971 Fe
0.4379 0.6508 0.8588 Fe
0.5621 0.3492 0.8588 Fe
0.5901 0.8026 0.2971 Fe
0.9099 0.3026 0.7029 Fe
0.9379 0.8492 0.1412 Fe
0.1893 0.9140 0.9337 Mo
0.1968 0.4349 0.4829 Mo
0.2201 0.7077 0.2430 Mo
0.2799 0.2077 0.7570 Mo
0.3032 0.9349 0.5171 Mo
0.3107 0.4140 0.0663 Mo
0.6893 0.5860 0.0663 Mo
0.6968 0.0651 0.5171 Mo
0.7201 0.7923 0.7570 Mo
0.7799 0.2923 0.2430 Mo
0.8032 0.5651 0.4829 Mo
0.8107 0.0860 0.9337 Mo
0.0000 0.0000 0.0239 O
0.0000 0.5000 0.5509 O
0.0362 0.7446 0.2942 O
0.0715 0.8610 0.8077 O
0.1088 0.6032 0.8561 O
0.1324 0.2932 0.6637 O
0.1443 0.3277 0.0979 O
0.1645 0.0019 0.4286 O
0.1717 0.8307 0.0984 O
0.1996 0.5419 0.3487 O
0.2259 0.7875 0.5806 O
0.2438 0.5808 0.7820 O
0.2471 0.0802 0.8986 O
0.2529 0.5802 0.1014 O
0.2562 0.0808 0.2180 O
0.2741 0.2875 0.4194 O
0.3004 0.0419 0.6513 O
0.3283 0.3307 0.9016 O
0.3355 0.5019 0.5714 O
0.3557 0.8277 0.9021 O
0.3676 0.7932 0.3363 O
0.3912 0.1032 0.1439 O
0.4285 0.3610 0.1923 O
0.4638 0.2446 0.7058 O
0.5000 0.0000 0.4491 O
0.5000 0.5000 0.9761 O
0.5362 0.7554 0.7058 O
0.5715 0.6390 0.1923 O
0.6088 0.8968 0.1439 O
0.6324 0.2068 0.3363 O
0.6443 0.1723 0.9021 O
0.6645 0.4981 0.5714 O
0.6717 0.6693 0.9016 O
0.6996 0.9581 0.6513 O
0.7259 0.7125 0.4194 O
0.7438 0.9192 0.2180 O
0.7471 0.4198 0.1014 O
0.7529 0.9198 0.8986 O
0.7562 0.4192 0.7820 O
0.7741 0.2125 0.5806 O
0.8004 0.4581 0.3487 O
0.8283 0.1693 0.0984 O
0.8355 0.9981 0.4286 O
0.8557 0.6723 0.0979 O
0.8676 0.7068 0.6637 O
0.8912 0.3968 0.8561 O
0.9285 0.1390 0.8077 O
0.9638 0.2554 0.2942 O
```


Record 3
Computed, not measured: crystalline FeMo2O10 at its relaxed geometry at the PBE with a Hubbard U level of DFT.

Properties
Space group: No. 2
E_form, kcal/mol of atoms: -20.34
Total magnetic moment, μB per formula unit: 6.00

Geometry as POSCAR:
```
FeMo2O10
1.0
6.8368 0.0000 0.0000
1.7284 6.9841 0.0000
2.4364 0.9783 9.8922
Fe Mo O
2 4 20
Direct
0.0652 0.1033 0.0896 Fe
0.9348 0.8967 0.9104 Fe
0.1528 0.1884 0.5853 Mo
0.2910 0.4538 0.8073 Mo
0.7090 0.5462 0.1927 Mo
0.8472 0.8116 0.4147 Mo
0.0068 0.8906 0.2659 O
0.0599 0.7056 0.5321 O
0.1029 0.3780 0.4069 O
0.1238 0.6893 0.8038 O
0.1651 0.9075 0.9763 O
0.1886 0.3102 0.9520 O
0.2958 0.0767 0.1605 O
0.3018 0.9863 0.5165 O
0.3086 0.3301 0.6472 O
0.4659 0.5266 0.1865 O
0.5341 0.4734 0.8135 O
0.6914 0.6699 0.3528 O
0.6982 0.0137 0.4835 O
0.7042 0.9233 0.8395 O
0.8114 0.6898 0.0480 O
0.8349 0.0925 0.0237 O
0.8762 0.3107 0.1962 O
0.8971 0.6220 0.5931 O
0.9401 0.2944 0.4679 O
0.9932 0.1094 0.7341 O
```


Record 4
Computed, not measured: crystalline Fe2Mo3O12 at its relaxed geometry at the PBE with a Hubbard U level of DFT.

Properties
Space group: No. 2
E_form, kcal/mol of atoms: -42.67
Total magnetic moment, μB per formula unit: 10.00

Geometry as POSCAR:
```
Fe2Mo3O12
1.0
6.9338 0.0000 0.0000
-2.0608 8.4145 0.0000
-2.4190 -3.9816 9.2726
Fe Mo O
4 6 24
Direct
0.0457 0.2028 0.0129 Fe
0.3760 0.9577 0.6090 Fe
0.6240 0.0423 0.3910 Fe
0.9543 0.7972 0.9871 Fe
0.1206 0.1030 0.3375 Mo
0.2118 0.6670 0.2596 Mo
0.4049 0.7436 0.8678 Mo
0.5951 0.2564 0.1322 Mo
0.7882 0.3330 0.7404 Mo
0.8794 0.8970 0.6625 Mo
0.0235 0.7371 0.1597 O
0.0719 0.0585 0.1429 O
0.1176 0.9963 0.6365 O
0.1609 0.4399 0.1689 O
0.1793 0.3211 0.4190 O
0.2213 0.7250 0.4441 O
0.2383 0.8089 0.9709 O
0.2857 0.5261 0.7593 O
0.3341 0.2183 0.0143 O
0.3420 0.0430 0.4290 O
0.4307 0.8651 0.7531 O
0.4657 0.7856 0.2658 O
0.5343 0.2144 0.7342 O
0.5693 0.1349 0.2469 O
0.6580 0.9570 0.5710 O
0.6659 0.7817 0.9857 O
0.7143 0.4739 0.2407 O
0.7617 0.1911 0.0291 O
0.7787 0.2750 0.5559 O
0.8207 0.6789 0.5810 O
0.8391 0.5601 0.8311 O
0.8824 0.0037 0.3635 O
0.9281 0.9415 0.8571 O
0.9765 0.2629 0.8403 O
```


Record 5
Computed, not measured: crystalline Sr7PrFe4Mo4O24 at its relaxed geometry at the PBE with a Hubbard U level of DFT.

Properties
Space group: No. 1
E_form, kcal/mol of atoms: -59.13
Total magnetic moment, μB per formula unit: 25.00

Geometry as POSCAR:
```
Sr7PrFe4Mo4O24
1.0
5.6186 0.0000 0.0000
2.8067 4.9403 0.0000
0.0128 2.9722 18.5584
Sr Pr Fe Mo O
7 1 4 4 24
Direct
0.0000 0.0000 0.0000 Sr
0.1202 0.7589 0.3703 Sr
0.2479 0.5107 0.7458 Sr
0.3815 0.2513 0.1249 Sr
0.5045 0.9941 0.5069 Sr
0.6262 0.7502 0.8754 Sr
0.7503 0.5053 0.2452 Sr
0.8740 0.2514 0.6271 Pr
0.0590 0.8795 0.1863 Fe
0.1882 0.6265 0.5661 Fe
0.3176 0.3777 0.9363 Fe
0.5640 0.8773 0.6846 Fe
0.4373 0.1295 0.3112 Mo
0.6898 0.6272 0.0606 Mo
0.8114 0.3770 0.4405 Mo
0.9384 0.1269 0.8117 Mo
0.0008 0.0047 0.5026 O
0.1206 0.7502 0.8728 O
0.1420 0.2803 0.3899 O
0.1660 0.2299 0.8615 O
0.2064 0.0169 0.2596 O
0.2099 0.9884 0.7345 O
0.2570 0.5013 0.2495 O
0.3685 0.2516 0.6245 O
0.4160 0.7644 0.1301 O
0.4479 0.5227 0.0083 O
0.4596 0.7004 0.6143 O
0.4740 0.4794 0.4872 O
0.4931 0.0029 0.9972 O
0.6272 0.7564 0.3780 O
0.6562 0.2709 0.8843 O
0.6799 0.2349 0.3645 O
0.7045 0.0314 0.7603 O
0.7254 0.9756 0.2366 O
0.7604 0.4988 0.7460 O
0.8862 0.2512 0.1229 O
0.9075 0.8060 0.6352 O
0.9311 0.7292 0.1128 O
0.9417 0.5121 0.5174 O
0.9601 0.4881 0.9891 O
```


Record 6
Computed, not measured: crystalline Sr7PrFe4Mo4O24 at its relaxed geometry at the PBE with a Hubbard U level of DFT.

Properties
Space group: No. 1
E_form, kcal/mol of atoms: -51.71
Total magnetic moment, μB per formula unit: 25.05

Geometry as POSCAR:
```
Sr7PrFe4Mo4O24
1.0
5.6186 0.0000 0.0000
2.8067 4.9403 0.0000
0.0128 2.9722 18.5584
Sr Pr Fe Mo O
7 1 4 4 24
Direct
0.0000 0.0000 0.0000 Sr
0.1202 0.1292 0.3703 Sr
0.2479 0.2564 0.7458 Sr
0.3815 0.3762 0.1249 Sr
0.5045 0.5010 0.5069 Sr
0.6262 0.6257 0.8754 Sr
0.7503 0.7505 0.2452 Sr
0.8740 0.8785 0.6271 Pr
0.0590 0.0657 0.1863 Fe
0.1882 0.1926 0.5661 Fe
0.3176 0.3140 0.9363 Fe
0.5640 0.5619 0.6846 Fe
0.4373 0.4408 0.3112 Mo
0.6898 0.6878 0.0606 Mo
0.8114 0.8175 0.4405 Mo
0.9384 0.9386 0.8117 Mo
0.0008 0.5073 0.5026 O
0.1206 0.6230 0.8728 O
0.1420 0.6702 0.3899 O
0.1660 0.0913 0.8615 O
0.2064 0.2765 0.2596 O
0.2099 0.7229 0.7345 O
0.2570 0.7508 0.2495 O
0.3685 0.8760 0.6245 O
0.4160 0.8945 0.1301 O
0.4479 0.5310 0.0083 O
0.4596 0.3147 0.6143 O
0.4740 0.9665 0.4872 O
0.4931 0.0001 0.9972 O
0.6272 0.1344 0.3780 O
0.6562 0.1553 0.8843 O
0.6799 0.5994 0.3645 O
0.7045 0.7917 0.7603 O
0.7254 0.2122 0.2366 O
0.7604 0.2449 0.7460 O
0.8862 0.3741 0.1229 O
0.9075 0.4412 0.6352 O
0.9311 0.8421 0.1128 O
0.9417 0.0296 0.5174 O
0.9601 0.4772 0.9891 O
```